[1]
DFT (meta-GGA r2SCAN) results for an optimized crystal structure of Lu4Hf3O12.

Lattice parameters (Å, degrees): 6.2220 6.2867 12.4805 99.33 99.30 99.39
Last column: nearest neighbours and their distance in Å.
Sites, in units of the cell vectors:
Lu  0.1103  0.1353  0.4034  6 O 2.13-2.32
Lu  0.1876  0.3907  0.6822  6 O 2.16-2.33
Lu  0.2005  0.3902  0.1814  6 O 2.12-2.33
Lu  0.3588  0.6895  0.9470  6 O 2.15-2.32
Lu  0.6412  0.3105  0.0530  6 O 2.15-2.32
Lu  0.7995  0.6098  0.8186  6 O 2.12-2.33
Lu  0.8124  0.6093  0.3178  6 O 2.16-2.33
Lu  0.8897  0.8647  0.5966  6 O 2.13-2.32
Hf  0.1081  0.1427  0.9060  6 O 2.05-2.18
Hf  0.3547  0.6759  0.4465  6 O 2.04-2.17
Hf  0.4930  0.9941  0.7482  6 O 2.05-2.10
Hf  0.5070  0.0059  0.2518  6 O 2.05-2.10
Hf  0.6453  0.3241  0.5535  6 O 2.04-2.17
Hf  0.8919  0.8573  0.0940  6 O 2.05-2.18
O  0.0707  0.4167  0.8417  1 Hf 2.05, 2 Lu 2.22-2.24
O  0.0705  0.8305  0.9626  2 Hf 2.12-2.18, 2 Lu 2.15-2.33
O  0.0878  0.8197  0.4622  1 Hf 2.04, 2 Lu 2.22-2.25
O  0.0904  0.4302  0.3420  3 Lu 2.13-2.22, 1 Hf 2.15
O  0.1777  0.0569  0.7142  1 Hf 2.05, 2 Lu 2.17-2.19
O  0.1828  0.0402  0.2032  2 Hf 2.07-2.11, 1 Lu 2.25
O  0.3148  0.4089  0.0315  3 Lu 2.12-2.21, 1 Hf 2.17
O  0.3262  0.4251  0.5361  2 Hf 2.08-2.17, 2 Lu 2.16-2.32
O  0.4210  0.6930  0.2896  2 Hf 2.08-2.10, 1 Lu 2.25
O  0.4225  0.6805  0.7784  1 Hf 2.06, 2 Lu 2.18-2.20
O  0.4291  0.0822  0.9070  2 Hf 2.09, 1 Lu 2.21
O  0.4633  0.1057  0.4114  2 Hf 2.06-2.09, 1 Lu 2.22
O  0.5367  0.8943  0.5886  2 Hf 2.06-2.09, 1 Lu 2.22
O  0.5709  0.9178  0.0930  2 Hf 2.09, 1 Lu 2.21
O  0.5775  0.3195  0.2216  1 Hf 2.06, 2 Lu 2.18-2.20
O  0.5790  0.3070  0.7104  2 Hf 2.08-2.10, 1 Lu 2.25
O  0.6738  0.5749  0.4639  2 Hf 2.08-2.17, 2 Lu 2.16-2.32
O  0.6852  0.5911  0.9685  3 Lu 2.12-2.21, 1 Hf 2.17
O  0.8172  0.9598  0.7968  2 Hf 2.07-2.11, 1 Lu 2.25
O  0.8223  0.9431  0.2858  1 Hf 2.05, 2 Lu 2.17-2.19
O  0.9096  0.5698  0.6580  3 Lu 2.13-2.22, 1 Hf 2.15
O  0.9122  0.1803  0.5378  1 Hf 2.04, 2 Lu 2.22-2.25
O  0.9295  0.1695  0.0374  2 Hf 2.12-2.18, 2 Lu 2.15-2.33
O  0.9293  0.5833  0.1583  1 Hf 2.05, 2 Lu 2.22-2.24

Properties
The total energy comes out at -22.9266 eV/atom. The value obtained for the formation energy is -4.008 eV per atom.

=====

[2]
DFT (meta-GGA r2SCAN) results for an optimized crystal structure of LuHfRh2.

Lattice parameters (Å, degrees): 4.6448 4.6448 4.6448 60.00 60.00 60.00
Last column: nearest neighbours and their distance in Å.
Sites, in units of the cell vectors:
Lu  0.0000  0.0000  0.0000  8 Rh 2.84
Hf  0.5000  0.5000  0.5000  8 Rh 2.84
Rh  0.2500  0.2500  0.2500  4 Hf 2.84, 4 Lu 2.84
Rh  0.7500  0.7500  0.7500  4 Hf 2.84, 4 Lu 2.84

Properties
The total energy comes out at -33.8630 eV/atom. The value obtained for the formation energy is -0.987 eV per atom.

=====

[3]
DFT (meta-GGA r2SCAN) results for an optimized crystal structure of LuHfRu2.

Lattice parameters (Å, degrees): 4.6074 4.6074 4.6074 60.00 60.00 60.00
Last column: nearest neighbours and their distance in Å.
Sites, in units of the cell vectors:
Lu  0.0000  0.0000  0.0000  8 Ru 2.82
Hf  0.5000  0.5000  0.5000  8 Ru 2.82
Ru  0.2500  0.2500  0.2500  4 Hf 2.82, 4 Lu 2.82
Ru  0.7500  0.7500  0.7500  4 Hf 2.82, 4 Lu 2.82

Properties
The total energy comes out at -34.2554 eV/atom. The value obtained for the formation energy is -0.735 eV per atom.

=====

[4]
DFT (meta-GGA r2SCAN) results for an optimized crystal structure of Hf2MnOs.

Lattice parameters (Å, degrees): 4.5272 4.5272 4.5272 60.00 60.00 60.00
Last column: nearest neighbours and their distance in Å.
Sites, in units of the cell vectors:
Hf  0.2500  0.2500  0.2500  4 Os 2.77, 4 Mn 2.77
Hf  0.7500  0.7500  0.7500  4 Os 2.77, 4 Mn 2.77
Mn  0.0000  0.0000  0.0000  8 Hf 2.77
Os  0.5000  0.5000  0.5000  8 Hf 2.77

Properties
The total energy comes out at -39.9567 eV/atom. The value obtained for the formation energy is -0.464 eV per atom.

=====

[5]
DFT (meta-GGA r2SCAN) results for an optimized crystal structure of Hf5MnSb2.

Lattice parameters (Å, degrees): 8.2124 8.2124 8.2124 96.46 96.46 140.79
Last column: nearest neighbours and their distance in Å.
Sites, in units of the cell vectors:
Hf  0.0731  0.7950  0.8682  2 Mn 2.75, 2 Sb 2.92-2.96
Hf  0.2050  0.0731  0.2781  2 Mn 2.75, 2 Sb 2.92-2.96
Hf  0.2500  0.7500  0.5000  2 Hf 2.76, 4 Sb 2.88
Hf  0.2950  0.5731  0.8682  2 Mn 2.75, 2 Sb 2.92-2.96
Hf  0.4269  0.2950  0.7219  2 Mn 2.75, 2 Sb 2.92-2.96
Hf  0.5731  0.7050  0.2781  2 Mn 2.75, 2 Sb 2.92-2.96
Hf  0.7050  0.4269  0.1318  2 Mn 2.75, 2 Sb 2.92-2.96
Hf  0.7500  0.2500  0.5000  2 Hf 2.76, 4 Sb 2.88
Hf  0.7950  0.9269  0.7219  2 Mn 2.75, 2 Sb 2.92-2.96
Hf  0.9269  0.2050  0.1318  2 Mn 2.75, 2 Sb 2.92-2.96
Mn  0.2500  0.2500  0.0000  8 Hf 2.75, 2 Mn 2.76
Mn  0.7500  0.7500  0.0000  8 Hf 2.75, 2 Mn 2.76
Sb  0.1634  0.3366  0.5000  6 Hf 2.88-2.96
Sb  0.3366  0.8366  0.1732  6 Hf 2.88-2.96
Sb  0.6634  0.1634  0.8268  6 Hf 2.88-2.96
Sb  0.8366  0.6634  0.5000  6 Hf 2.88-2.96

Properties
The total energy comes out at -36.9463 eV/atom. The value obtained for the formation energy is -0.465 eV per atom.

=====

[6]
DFT (meta-GGA r2SCAN) results for an optimized crystal structure of HfMnSi2.

Lattice parameters (Å, degrees): 8.9579 9.7563 7.8412 90.00 90.00 90.00
Last column: nearest neighbours and their distance in Å.
Sites, in units of the cell vectors:
Hf  0.1662  0.1777  0.0000  7 Si 2.70-2.83, 2 Mn 2.99
Hf  0.1729  0.4522  0.2445  8 Si 2.69-2.86, 3 Mn 2.95-3.00
Hf  0.1729  0.4522  0.7555  8 Si 2.69-2.86, 3 Mn 2.95-3.00
Hf  0.3271  0.9522  0.2445  8 Si 2.69-2.86, 3 Mn 2.95-3.00
Hf  0.3271  0.9522  0.7555  8 Si 2.69-2.86, 3 Mn 2.95-3.00
Hf  0.3338  0.6777  0.0000  7 Si 2.70-2.83, 2 Mn 2.99
Hf  0.6662  0.3223  0.0000  7 Si 2.70-2.83, 2 Mn 2.99
Hf  0.6729  0.0478  0.2445  8 Si 2.69-2.86, 3 Mn 2.95-3.00
Hf  0.6729  0.0478  0.7555  8 Si 2.69-2.86, 3 Mn 2.95-3.00
Hf  0.8271  0.5478  0.2445  8 Si 2.69-2.86, 3 Mn 2.95-3.00
Hf  0.8271  0.5478  0.7555  8 Si 2.69-2.86, 3 Mn 2.95-3.00
Hf  0.8338  0.8223  0.0000  7 Si 2.70-2.83, 2 Mn 2.99
Mn  0.0000  0.0000  0.2456  6 Si 2.46-2.48, 2 Mn 2.56
Mn  0.0000  0.0000  0.7544  6 Si 2.46-2.48, 2 Mn 2.56
Mn  0.0839  0.7487  0.2498  6 Si 2.36-2.46, 1 Mn 2.56
Mn  0.0839  0.7487  0.7502  6 Si 2.36-2.46, 1 Mn 2.56
Mn  0.4161  0.2487  0.2498  6 Si 2.36-2.46, 1 Mn 2.56
Mn  0.4161  0.2487  0.7502  6 Si 2.36-2.46, 1 Mn 2.56
Mn  0.5000  0.5000  0.2456  6 Si 2.46-2.48, 2 Mn 2.56
Mn  0.5000  0.5000  0.7544  6 Si 2.46-2.48, 2 Mn 2.56
Mn  0.5839  0.7513  0.2498  6 Si 2.36-2.46, 1 Mn 2.56
Mn  0.5839  0.7513  0.7502  6 Si 2.36-2.46, 1 Mn 2.56
Mn  0.9161  0.2513  0.2498  6 Si 2.36-2.46, 1 Mn 2.56
Mn  0.9161  0.2513  0.7502  6 Si 2.36-2.46, 1 Mn 2.56
Si  0.0390  0.6188  0.0000  2 Mn 2.37, 1 Si 2.42
Si  0.0406  0.6211  0.5000  2 Mn 2.36, 1 Si 2.47
Si  0.1113  0.8891  0.5000  4 Mn 2.41-2.48, 1 Si 2.69
Si  0.1273  0.8900  0.0000  4 Mn 2.43-2.48, 3 Hf 2.69-2.71
Si  0.1659  0.1823  0.3495  1 Si 2.36, 3 Mn 2.46
Si  0.1659  0.1823  0.6505  1 Si 2.36, 3 Mn 2.46
Si  0.3341  0.6823  0.3495  1 Si 2.36, 3 Mn 2.46
Si  0.3341  0.6823  0.6505  1 Si 2.36, 3 Mn 2.46
Si  0.3727  0.3900  0.0000  4 Mn 2.43-2.48, 3 Hf 2.69-2.71
Si  0.3887  0.3891  0.5000  4 Mn 2.41-2.48, 1 Si 2.69
Si  0.4594  0.1211  0.5000  2 Mn 2.36, 1 Si 2.47
Si  0.4610  0.1188  0.0000  2 Mn 2.37, 1 Si 2.42
Si  0.5390  0.8812  0.0000  2 Mn 2.37, 1 Si 2.42
Si  0.5406  0.8789  0.5000  2 Mn 2.36, 1 Si 2.47
Si  0.6113  0.6109  0.5000  4 Mn 2.41-2.48, 1 Si 2.69
Si  0.6273  0.6100  0.0000  4 Mn 2.43-2.48, 3 Hf 2.69-2.71
Si  0.6659  0.3177  0.3495  1 Si 2.36, 3 Mn 2.46
Si  0.6659  0.3177  0.6505  1 Si 2.36, 3 Mn 2.46
Si  0.8341  0.8177  0.3495  1 Si 2.36, 3 Mn 2.46
Si  0.8341  0.8177  0.6505  1 Si 2.36, 3 Mn 2.46
Si  0.8727  0.1100  0.0000  4 Mn 2.43-2.48, 3 Hf 2.69-2.71
Si  0.8887  0.1109  0.5000  4 Mn 2.41-2.48, 1 Si 2.69
Si  0.9594  0.3789  0.5000  2 Mn 2.36, 1 Si 2.47
Si  0.9610  0.3812  0.0000  2 Mn 2.37, 1 Si 2.42

Properties
The total energy comes out at -19.9838 eV/atom. The value obtained for the formation energy is -0.638 eV per atom.

=====

[7]
DFT (meta-GGA r2SCAN) results for an optimized crystal structure of HfMnSi.

Lattice parameters (Å, degrees): 6.5860 3.7514 7.6253 90.00 90.00 90.00
Last column: nearest neighbours and their distance in Å.
Sites, in units of the cell vectors:
Hf  0.0326  0.2500  0.1754  5 Si 2.72-2.76, 5 Mn 2.97-3.02
Hf  0.4674  0.7500  0.6754  5 Si 2.72-2.76, 5 Mn 2.97-3.02
Hf  0.5326  0.2500  0.3246  5 Si 2.72-2.76, 5 Mn 2.97-3.02
Hf  0.9674  0.7500  0.8246  5 Si 2.72-2.76, 5 Mn 2.97-3.02
Mn  0.1344  0.2500  0.5589  4 Si 2.45-2.53, 2 Mn 2.73
Mn  0.3656  0.7500  0.0589  4 Si 2.45-2.53, 2 Mn 2.73
Mn  0.6344  0.2500  0.9411  4 Si 2.45-2.53, 2 Mn 2.73
Mn  0.8656  0.7500  0.4411  4 Si 2.45-2.53, 2 Mn 2.73
Si  0.2391  0.7500  0.3723  4 Mn 2.45-2.53, 2 Hf 2.72
Si  0.2609  0.2500  0.8723  4 Mn 2.45-2.53, 2 Hf 2.72
Si  0.7391  0.7500  0.1277  4 Mn 2.45-2.53, 2 Hf 2.72
Si  0.7609  0.2500  0.6277  4 Mn 2.45-2.53, 2 Hf 2.72

Properties
The total energy comes out at -23.6213 eV/atom. The value obtained for the formation energy is -0.752 eV per atom.

=====

[8]
DFT (meta-GGA r2SCAN) results for an optimized crystal structure of Hf3Tl10Mo12PbO48.

Lattice parameters (Å, degrees): 14.3539 14.3539 14.3539 43.72 43.72 43.72
Last column: nearest neighbours and their distance in Å.
Sites, in units of the cell vectors:
Hf  0.0000  0.0000  0.0000  6 O 2.06
Hf  0.2501  0.2501  0.2501  6 O 2.04-2.08
Hf  0.7499  0.7499  0.7499  6 O 2.04-2.08
Tl  0.1482  0.1482  0.1482  3 O 2.75
Tl  0.1496  0.3604  0.7534  5 O 2.81-3.08
Tl  0.2466  0.8504  0.6396  5 O 2.81-3.08
Tl  0.3604  0.7534  0.1496  5 O 2.81-3.08
Tl  0.3671  0.3671  0.3671  6 O 2.85-2.88
Tl  0.6329  0.6329  0.6329  6 O 2.85-2.88
Tl  0.6396  0.2466  0.8504  5 O 2.81-3.08
Tl  0.7534  0.1496  0.3604  5 O 2.81-3.08
Tl  0.8504  0.6396  0.2466  5 O 2.81-3.08
Tl  0.8518  0.8518  0.8518  3 O 2.75
Mo  0.0470  0.2462  0.6131  4 O 1.72-1.82
Mo  0.1117  0.7721  0.5077  4 O 1.74-1.83
Mo  0.2279  0.4923  0.8883  4 O 1.74-1.83
Mo  0.2462  0.6131  0.0470  4 O 1.72-1.82
Mo  0.3869  0.9530  0.7538  4 O 1.72-1.82
Mo  0.4923  0.8883  0.2279  4 O 1.74-1.83
Mo  0.5077  0.1117  0.7721  4 O 1.74-1.83
Mo  0.6131  0.0470  0.2462  4 O 1.72-1.82
Mo  0.7538  0.3869  0.9530  4 O 1.72-1.82
Mo  0.7721  0.5077  0.1117  4 O 1.74-1.83
Mo  0.8883  0.2279  0.4923  4 O 1.74-1.83
Mo  0.9530  0.7538  0.3869  4 O 1.72-1.82
Pb  0.5000  0.5000  0.5000  6 O 2.48
O  0.0295  0.0867  0.7912  1 Mo 1.81
O  0.0405  0.2866  0.3335  1 Mo 1.83, 1 Hf 2.04
O  0.0811  0.9082  0.3459  1 Mo 1.76
O  0.0867  0.7912  0.0295  1 Mo 1.81
O  0.0912  0.3383  0.6026  1 Mo 1.72
O  0.0918  0.6541  0.9189  1 Mo 1.76
O  0.1197  0.6358  0.4011  1 Mo 1.73
O  0.1326  0.8384  0.5532  1 Mo 1.74
O  0.1616  0.4468  0.8674  1 Mo 1.74
O  0.1873  0.4627  0.1944  1 Mo 1.82
O  0.1944  0.1873  0.4627  1 Mo 1.82
O  0.2088  0.9705  0.9133  1 Mo 1.81
O  0.2796  0.6190  0.4709  1 Mo 1.76
O  0.2866  0.3335  0.0405  1 Mo 1.83, 1 Hf 2.04
O  0.3335  0.0405  0.2866  1 Mo 1.83, 1 Hf 2.04
O  0.3383  0.6026  0.0912  1 Mo 1.72
O  0.3459  0.0811  0.9082  1 Mo 1.76
O  0.3642  0.5989  0.8803  1 Mo 1.73
O  0.3810  0.5291  0.7204  1 Mo 1.76
O  0.3974  0.9088  0.6617  1 Mo 1.72
O  0.4011  0.1197  0.6358  1 Mo 1.73
O  0.4468  0.8674  0.1616  1 Mo 1.74
O  0.4627  0.1944  0.1873  1 Mo 1.82
O  0.4709  0.2796  0.6190  1 Mo 1.76
O  0.5291  0.7204  0.3810  1 Mo 1.76
O  0.5373  0.8056  0.8127  1 Mo 1.82
O  0.5532  0.1326  0.8384  1 Mo 1.74
O  0.5989  0.8803  0.3642  1 Mo 1.73
O  0.6026  0.0912  0.3383  1 Mo 1.72
O  0.6190  0.4709  0.2796  1 Mo 1.76
O  0.6358  0.4011  0.1197  1 Mo 1.73
O  0.6541  0.9189  0.0918  1 Mo 1.76
O  0.6617  0.3974  0.9088  1 Mo 1.72
O  0.6665  0.9595  0.7134  1 Mo 1.83, 1 Hf 2.04
O  0.7134  0.6665  0.9595  1 Mo 1.83, 1 Hf 2.04
O  0.7204  0.3810  0.5291  1 Mo 1.76
O  0.7912  0.0295  0.0867  1 Mo 1.81
O  0.8056  0.8127  0.5373  1 Mo 1.82
O  0.8127  0.5373  0.8056  1 Mo 1.82
O  0.8384  0.5532  0.1326  1 Mo 1.74
O  0.8674  0.1616  0.4468  1 Mo 1.74
O  0.8803  0.3642  0.5989  1 Mo 1.73
O  0.9082  0.3459  0.0811  1 Mo 1.76
O  0.9088  0.6617  0.3974  1 Mo 1.72
O  0.9133  0.2088  0.9705  1 Mo 1.81
O  0.9189  0.0918  0.6541  1 Mo 1.76
O  0.9595  0.7134  0.6665  1 Mo 1.83, 1 Hf 2.04
O  0.9705  0.9133  0.2088  1 Mo 1.81

Properties
The total energy comes out at -20.0180 eV/atom. The value obtained for the formation energy is -2.139 eV per atom.